An optimized crystal structure of Sr2GdCrO6, computed with GGA+U. Values from VASP.

```
&SYSTEM
  ibrav = 0, nat = 10, ntyp = 4
/
ATOMIC_SPECIES
Sr 87.62 Sr.upf
Gd 157.25 Gd.upf
Cr 52.00 Cr.upf
O 16.00 O.upf
CELL_PARAMETERS angstrom
0.000 -4.117 -4.117
4.117 0.000 -4.117
4.117 -4.117 0.000
ATOMIC_POSITIONS crystal
Sr 0.250 0.250 0.250
Sr 0.750 0.750 0.750
Gd 0.500 0.500 0.500
Cr 0.000 0.000 0.000
O 0.771 0.229 0.229
O 0.229 0.771 0.771
O 0.771 0.229 0.771
O 0.229 0.771 0.229
O 0.771 0.771 0.229
O 0.229 0.229 0.771
```

Output
Calculated density (g/cm³): 5.719
VASP energy (eV/atom): -7.89



An optimized crystal structure of HoCrGeO5, computed with GGA+U. Values from VASP.

```
&SYSTEM
  ibrav = 0, nat = 32, ntyp = 4
/
ATOMIC_SPECIES
Ho 164.93 Ho.upf
Cr 52.00 Cr.upf
Ge 72.64 Ge.upf
O 16.00 O.upf
CELL_PARAMETERS angstrom
-2.275 4.583 -2.728
-3.943 1.658 6.075
6.340 4.815 2.801
ATOMIC_POSITIONS crystal
Ho 0.500 0.354 0.328
Ho 0.500 0.646 0.672
Ho 0.500 0.146 0.828
Ho 0.500 0.854 0.172
Cr 0.250 0.000 0.500
Cr 0.750 0.000 0.500
Cr 0.750 0.500 0.000
Cr 0.250 0.500 0.000
Ge 0.000 0.117 0.145
Ge 0.000 0.883 0.855
Ge 0.000 0.383 0.645
Ge 0.000 0.617 0.355
O 0.250 0.114 0.284
O 0.750 0.886 0.716
O 0.250 0.886 0.716
O 0.750 0.386 0.784
O 0.750 0.114 0.284
O 0.250 0.614 0.216
O 0.750 0.614 0.216
O 0.250 0.386 0.784
O 0.000 0.343 0.083
O 0.000 0.657 0.917
O 0.000 0.157 0.583
O 0.000 0.843 0.417
O 0.500 0.332 0.059
O 0.500 0.668 0.941
O 0.500 0.168 0.559
O 0.500 0.832 0.441
O 0.212 0.000 0.000
O 0.788 0.000 0.000
O 0.788 0.500 0.500
O 0.212 0.500 0.500
```

Output
Calculated density (g/cm³): 6.751
VASP energy (eV/atom): -7.61



An optimized crystal structure of Li3Cr2Ge3O12, computed with GGA+U. Values from VASP.

```
&SYSTEM
  ibrav = 0, nat = 80, ntyp = 4
/
ATOMIC_SPECIES
Li 6.94 Li.upf
Cr 52.00 Cr.upf
Ge 72.64 Ge.upf
O 16.00 O.upf
CELL_PARAMETERS angstrom
5.014 9.115 -0.845
-7.776 0.932 6.900
6.665 -7.349 3.241
ATOMIC_POSITIONS crystal
Li 0.750 0.625 0.875
Li 0.250 0.875 0.625
Li 0.625 0.250 0.875
Li 0.875 0.750 0.625
Li 0.875 0.625 0.250
Li 0.625 0.875 0.750
Li 0.250 0.375 0.125
Li 0.750 0.125 0.375
Li 0.375 0.750 0.125
Li 0.125 0.250 0.375
Li 0.125 0.375 0.750
Li 0.375 0.125 0.250
Cr 0.500 0.000 0.500
Cr 0.000 0.500 0.000
Cr 0.500 0.500 0.500
Cr 0.000 0.000 0.500
Cr 0.000 0.000 0.000
Cr 0.000 0.500 0.500
Cr 0.500 0.500 0.000
Cr 0.500 0.000 0.000
Ge 0.375 0.625 0.750
Ge 0.625 0.375 0.250
Ge 0.625 0.750 0.375
Ge 0.250 0.125 0.875
Ge 0.875 0.250 0.125
Ge 0.750 0.375 0.625
Ge 0.250 0.625 0.375
Ge 0.750 0.875 0.125
Ge 0.125 0.750 0.875
Ge 0.375 0.250 0.625
Ge 0.875 0.125 0.750
Ge 0.125 0.875 0.250
O 0.519 0.402 0.820
O 0.820 0.519 0.402
O 0.801 0.883 0.981
O 0.418 0.098 0.617
O 0.883 0.402 0.082
O 0.680 0.082 0.699
O 0.820 0.801 0.418
O 0.402 0.820 0.519
O 0.617 0.699 0.519
O 0.418 0.820 0.801
O 0.402 0.082 0.883
O 0.098 0.981 0.680
O 0.981 0.680 0.098
O 0.801 0.418 0.820
O 0.519 0.617 0.699
O 0.699 0.519 0.617
O 0.082 0.883 0.402
O 0.981 0.801 0.883
O 0.082 0.699 0.680
O 0.383 0.301 0.481
O 0.617 0.418 0.098
O 0.098 0.617 0.418
O 0.699 0.680 0.082
O 0.680 0.098 0.981
O 0.481 0.598 0.180
O 0.180 0.481 0.598
O 0.199 0.117 0.019
O 0.582 0.902 0.383
O 0.117 0.598 0.918
O 0.320 0.918 0.301
O 0.180 0.199 0.582
O 0.598 0.180 0.481
O 0.320 0.902 0.019
O 0.301 0.320 0.918
O 0.902 0.383 0.582
O 0.117 0.019 0.199
O 0.383 0.582 0.902
O 0.918 0.301 0.320
O 0.019 0.199 0.117
O 0.918 0.117 0.598
O 0.301 0.481 0.383
O 0.481 0.383 0.301
O 0.199 0.582 0.180
O 0.019 0.320 0.902
O 0.902 0.019 0.320
O 0.598 0.918 0.117
O 0.582 0.180 0.199
O 0.883 0.981 0.801
```

Output
Calculated density (g/cm³): 4.058
VASP energy (eV/atom): -6.33



An optimized crystal structure of Mg3Cr2Ge3O12, computed with GGA+U. Values from VASP.

```
&SYSTEM
  ibrav = 0, nat = 80, ntyp = 4
/
ATOMIC_SPECIES
Mg 24.30 Mg.upf
Cr 52.00 Cr.upf
Ge 72.64 Ge.upf
O 16.00 O.upf
CELL_PARAMETERS angstrom
0.113 -3.241 9.926
-7.934 6.643 -1.402
-1.181 -8.219 -6.332
ATOMIC_POSITIONS crystal
Mg 0.250 0.875 0.625
Mg 0.750 0.625 0.875
Mg 0.625 0.875 0.750
Mg 0.875 0.625 0.250
Mg 0.625 0.250 0.875
Mg 0.875 0.750 0.625
Mg 0.750 0.125 0.375
Mg 0.250 0.375 0.125
Mg 0.375 0.125 0.250
Mg 0.125 0.375 0.750
Mg 0.375 0.750 0.125
Mg 0.125 0.250 0.375
Cr 0.500 0.500 0.500
Cr 0.500 0.000 0.500
Cr 0.000 0.500 0.500
Cr 0.500 0.500 0.000
Cr 0.000 0.000 0.500
Cr 0.000 0.500 0.000
Cr 0.500 0.000 0.000
Cr 0.000 0.000 0.000
Ge 0.125 0.750 0.875
Ge 0.875 0.250 0.125
Ge 0.625 0.375 0.250
Ge 0.750 0.875 0.125
Ge 0.875 0.125 0.750
Ge 0.250 0.625 0.375
Ge 0.750 0.375 0.625
Ge 0.250 0.125 0.875
Ge 0.125 0.875 0.250
Ge 0.375 0.625 0.750
Ge 0.625 0.750 0.375
Ge 0.375 0.250 0.625
O 0.418 0.818 0.791
O 0.873 0.400 0.082
O 0.100 0.972 0.682
O 0.528 0.627 0.709
O 0.682 0.082 0.709
O 0.627 0.709 0.528
O 0.627 0.418 0.100
O 0.709 0.528 0.627
O 0.818 0.528 0.400
O 0.972 0.791 0.873
O 0.791 0.873 0.972
O 0.709 0.682 0.082
O 0.418 0.100 0.627
O 0.400 0.818 0.528
O 0.082 0.709 0.682
O 0.100 0.627 0.418
O 0.528 0.400 0.818
O 0.082 0.873 0.400
O 0.972 0.682 0.100
O 0.182 0.472 0.600
O 0.682 0.100 0.972
O 0.791 0.418 0.818
O 0.400 0.082 0.873
O 0.873 0.972 0.791
O 0.582 0.182 0.209
O 0.127 0.600 0.918
O 0.900 0.028 0.318
O 0.472 0.373 0.291
O 0.318 0.918 0.291
O 0.373 0.291 0.472
O 0.373 0.582 0.900
O 0.291 0.472 0.373
O 0.127 0.028 0.209
O 0.600 0.918 0.127
O 0.209 0.582 0.182
O 0.182 0.209 0.582
O 0.318 0.900 0.028
O 0.028 0.318 0.900
O 0.918 0.127 0.600
O 0.472 0.600 0.182
O 0.900 0.373 0.582
O 0.918 0.291 0.318
O 0.600 0.182 0.472
O 0.582 0.900 0.373
O 0.291 0.318 0.918
O 0.209 0.127 0.028
O 0.028 0.209 0.127
O 0.818 0.791 0.418
```

Output
Calculated density (g/cm³): 4.446
VASP energy (eV/atom): -6.72



An optimized crystal structure of MgCrGe2O6, computed with GGA+U. Values from VASP.

```
&SYSTEM
  ibrav = 0, nat = 40, ntyp = 4
/
ATOMIC_SPECIES
Mg 24.30 Mg.upf
Cr 52.00 Cr.upf
Ge 72.64 Ge.upf
O 16.00 O.upf
CELL_PARAMETERS angstrom
9.368 0.000 0.000
0.000 5.436 0.000
0.000 2.213 9.617
ATOMIC_POSITIONS crystal
Mg 0.488 0.554 0.242
Mg 0.988 0.946 0.758
Mg 0.512 0.446 0.758
Mg 0.012 0.054 0.242
Cr 0.654 0.046 0.245
Cr 0.154 0.454 0.755
Cr 0.346 0.954 0.755
Cr 0.846 0.546 0.245
Ge 0.335 0.171 0.055
Ge 0.835 0.329 0.945
Ge 0.665 0.829 0.945
Ge 0.165 0.671 0.055
Ge 0.345 0.759 0.456
Ge 0.845 0.741 0.544
Ge 0.655 0.241 0.544
Ge 0.155 0.259 0.456
O 0.290 0.489 0.388
O 0.790 0.011 0.612
O 0.710 0.511 0.612
O 0.210 0.989 0.388
O 0.324 0.826 0.107
O 0.824 0.674 0.893
O 0.676 0.174 0.893
O 0.176 0.326 0.107
O 0.993 0.304 0.369
O 0.493 0.196 0.631
O 0.007 0.696 0.631
O 0.507 0.804 0.369
O 0.025 0.785 0.135
O 0.525 0.715 0.865
O 0.975 0.215 0.865
O 0.475 0.285 0.135
O 0.338 0.240 0.870
O 0.838 0.260 0.130
O 0.662 0.760 0.130
O 0.162 0.740 0.870
O 0.353 0.684 0.638
O 0.853 0.816 0.362
O 0.647 0.316 0.362
O 0.147 0.184 0.638
```

Output
Offset from the most stable computed form (meV/atom): 7
Calculated density (g/cm³): 4.307
VASP energy (eV/atom): -6.69



An optimized crystal structure of MgCrGe2O6, computed with GGA+U. Values from VASP.

```
&SYSTEM
  ibrav = 0, nat = 20, ntyp = 4
/
ATOMIC_SPECIES
Mg 24.30 Mg.upf
Cr 52.00 Cr.upf
Ge 72.64 Ge.upf
O 16.00 O.upf
CELL_PARAMETERS angstrom
-1.584 3.604 -3.567
1.951 -3.479 -5.343
-5.972 -2.756 -1.095
ATOMIC_POSITIONS crystal
Mg 0.750 0.271 0.729
Mg 0.250 0.729 0.271
Cr 0.250 0.089 0.911
Cr 0.750 0.911 0.089
Ge 0.778 0.398 0.210
Ge 0.722 0.790 0.602
Ge 0.222 0.602 0.790
Ge 0.278 0.210 0.398
O 0.591 0.291 0.434
O 0.909 0.566 0.709
O 0.409 0.709 0.566
O 0.091 0.434 0.291
O 0.112 0.146 0.628
O 0.388 0.372 0.854
O 0.888 0.854 0.372
O 0.612 0.628 0.146
O 0.840 0.216 0.031
O 0.660 0.969 0.784
O 0.160 0.784 0.969
O 0.340 0.031 0.216
```

Output
Offset from the most stable computed form (meV/atom): 0
Calculated density (g/cm³): 4.521
VASP energy (eV/atom): -6.70



An optimized crystal structure of NdCrGeO5, computed with GGA+U. Values from VASP.

```
&SYSTEM
  ibrav = 0, nat = 32, ntyp = 4
/
ATOMIC_SPECIES
Nd 144.24 Nd.upf
Cr 52.00 Cr.upf
Ge 72.64 Ge.upf
O 16.00 O.upf
CELL_PARAMETERS angstrom
5.880 0.000 0.000
0.000 7.585 0.000
0.000 0.000 8.637
ATOMIC_POSITIONS crystal
Nd 0.500 0.359 0.326
Nd 0.500 0.641 0.674
Nd 0.500 0.141 0.826
Nd 0.500 0.859 0.174
Cr 0.247 0.000 0.500
Cr 0.753 0.000 0.500
Cr 0.753 0.500 0.000
Cr 0.247 0.500 0.000
Ge 0.000 0.116 0.143
Ge 0.000 0.884 0.857
Ge 0.000 0.384 0.643
Ge 0.000 0.616 0.357
O 0.243 0.105 0.282
O 0.757 0.895 0.718
O 0.243 0.895 0.718
O 0.757 0.395 0.782
O 0.757 0.105 0.282
O 0.243 0.605 0.218
O 0.757 0.605 0.218
O 0.243 0.395 0.782
O 0.000 0.338 0.076
O 0.000 0.662 0.924
O 0.000 0.162 0.576
O 0.000 0.838 0.424
O 0.500 0.336 0.052
O 0.500 0.664 0.948
O 0.500 0.164 0.552
O 0.500 0.836 0.448
O 0.207 0.000 0.000
O 0.793 0.000 0.000
O 0.793 0.500 0.500
O 0.207 0.500 0.500
```

Output
Calculated density (g/cm³): 6.016
VASP energy (eV/atom): -7.60



An optimized crystal structure of CrGeSbO6, computed with GGA+U. Values from VASP.

```
&SYSTEM
  ibrav = 0, nat = 36, ntyp = 4
/
ATOMIC_SPECIES
Cr 52.00 Cr.upf
Ge 72.64 Ge.upf
Sb 121.76 Sb.upf
O 16.00 O.upf
CELL_PARAMETERS angstrom
4.604 0.000 0.000
0.000 9.208 0.000
0.000 0.000 9.129
ATOMIC_POSITIONS crystal
Cr 0.500 0.750 0.167
Cr 0.000 0.500 0.667
Cr 0.500 0.250 0.167
Cr 0.000 0.000 0.667
Ge 0.500 0.250 0.500
Ge 0.500 0.750 0.500
Ge 0.000 0.000 0.000
Ge 0.000 0.500 0.000
Sb 0.500 0.250 0.834
Sb 0.500 0.750 0.834
Sb 0.000 0.000 0.334
Sb 0.000 0.500 0.334
O 0.190 0.405 0.161
O 0.190 0.905 0.161
O 0.810 0.095 0.161
O 0.810 0.595 0.161
O 0.310 0.155 0.661
O 0.310 0.655 0.661
O 0.690 0.345 0.661
O 0.690 0.845 0.661
O 0.201 0.399 0.499
O 0.201 0.899 0.499
O 0.799 0.101 0.499
O 0.799 0.601 0.499
O 0.299 0.149 0.999
O 0.299 0.649 0.999
O 0.701 0.351 0.999
O 0.701 0.851 0.999
O 0.190 0.405 0.839
O 0.190 0.905 0.839
O 0.810 0.095 0.839
O 0.810 0.595 0.839
O 0.310 0.155 0.339
O 0.310 0.655 0.339
O 0.690 0.345 0.339
O 0.690 0.845 0.339
```

Output
Calculated density (g/cm³): 5.876
VASP energy (eV/atom): -6.77



An optimized crystal structure of TbCrGeO5, computed with GGA+U. Values from VASP.

```
&SYSTEM
  ibrav = 0, nat = 32, ntyp = 4
/
ATOMIC_SPECIES
Tb 158.93 Tb.upf
Cr 52.00 Cr.upf
Ge 72.64 Ge.upf
O 16.00 O.upf
CELL_PARAMETERS angstrom
5.814 0.000 0.000
0.000 7.447 0.000
0.000 0.000 8.514
ATOMIC_POSITIONS crystal
Tb 0.500 0.358 0.326
Tb 0.500 0.642 0.674
Tb 0.500 0.142 0.826
Tb 0.500 0.858 0.174
Cr 0.249 0.000 0.500
Cr 0.751 0.000 0.500
Cr 0.751 0.500 0.000
Cr 0.249 0.500 0.000
Ge 0.000 0.116 0.145
Ge 0.000 0.884 0.855
Ge 0.000 0.384 0.645
Ge 0.000 0.616 0.355
O 0.249 0.110 0.282
O 0.751 0.890 0.718
O 0.249 0.890 0.718
O 0.751 0.390 0.782
O 0.751 0.110 0.282
O 0.249 0.610 0.218
O 0.751 0.610 0.218
O 0.249 0.390 0.782
O 0.000 0.342 0.080
O 0.000 0.658 0.920
O 0.000 0.158 0.580
O 0.000 0.842 0.420
O 0.500 0.331 0.056
O 0.500 0.669 0.944
O 0.500 0.169 0.556
O 0.500 0.831 0.444
O 0.211 0.000 0.000
O 0.789 0.000 0.000
O 0.789 0.500 0.500
O 0.211 0.500 0.500
```

Output
Calculated density (g/cm³): 6.552
VASP energy (eV/atom): -7.62